Here is crystalline Ga2PbS4 at its relaxed geometry from the Materials Project. Energies are from GGA-PBE.

Output
Formation energy from the elements (kJ/mol of atoms): -92.0
Space-group type: Fddd (70)
DFT total energy (eV per atom): -4.425

abc: 14.810 12.254 12.041
angles: 75.12 53.10 51.79
Fractional positions:
S: 0.042 0.544 0.208
S: 0.206 0.208 0.544
S: 0.708 0.706 0.042
S: 0.974 0.778 0.964
S: 0.042 0.544 0.708
S: 0.780 0.468 0.813
S: 0.966 0.286 0.472
S: 0.472 0.276 0.966
S: 0.208 0.206 0.042
S: 0.208 0.706 0.542
S: 0.813 0.940 0.780
S: 0.542 0.544 0.208
S: 0.310 0.437 0.782
S: 0.470 0.782 0.437
S: 0.208 0.706 0.042
S: 0.778 0.974 0.284
S: 0.544 0.042 0.206
S: 0.964 0.284 0.974
S: 0.284 0.964 0.778
S: 0.437 0.310 0.470
S: 0.042 0.044 0.208
S: 0.706 0.208 0.544
S: 0.544 0.542 0.706
S: 0.468 0.780 0.940
S: 0.706 0.708 0.544
S: 0.044 0.042 0.706
S: 0.544 0.042 0.706
S: 0.782 0.470 0.310
S: 0.276 0.472 0.286
S: 0.940 0.813 0.468
S: 0.706 0.208 0.044
S: 0.286 0.966 0.276
Ga: 0.155 0.595 0.985
Ga: 0.655 0.095 0.985
Ga: 0.265 0.985 0.595
Ga: 0.265 0.985 0.095
Ga: 0.490 0.760 0.737
Ga: 0.760 0.490 0.014
Ga: 0.985 0.265 0.155
Ga: 0.513 0.236 0.760
Ga: 0.095 0.655 0.265
Ga: 0.760 0.490 0.513
Ga: 0.490 0.760 0.236
Ga: 0.014 0.737 0.760
Ga: 0.236 0.513 0.490
Ga: 0.737 0.014 0.490
Ga: 0.985 0.265 0.655
Ga: 0.595 0.155 0.265
Pb: 0.004 0.004 0.496
Pb: 0.000 0.000 0.000
Pb: 0.250 0.250 0.250
Pb: 0.750 0.750 0.750
Pb: 0.496 0.496 0.004
Pb: 0.246 0.246 0.754
Pb: 0.500 0.500 0.500
Pb: 0.754 0.754 0.246

Here is crystalline Ga2Pb2S5 at its relaxed geometry from the Materials Project. Energies are from GGA-PBE.

Output
Formation energy from the elements (kJ/mol of atoms): -87.2
Space-group type: Pbca (61)
DFT total energy (eV per atom): -4.420

abc: 11.215 12.125 12.575
angles: 90.00 90.00 90.00
Fractional positions:
S: 0.993 0.210 0.285
S: 0.758 0.137 0.965
S: 0.089 0.624 0.472
S: 0.426 0.613 0.432
S: 0.254 0.529 0.705
S: 0.246 0.029 0.295
S: 0.426 0.113 0.068
S: 0.589 0.376 0.028
S: 0.507 0.210 0.785
S: 0.089 0.124 0.028
S: 0.493 0.290 0.285
S: 0.758 0.637 0.535
S: 0.911 0.376 0.528
S: 0.574 0.887 0.932
S: 0.246 0.529 0.205
S: 0.007 0.790 0.715
S: 0.754 0.971 0.705
S: 0.411 0.624 0.972
S: 0.746 0.471 0.295
S: 0.258 0.863 0.535
S: 0.746 0.971 0.205
S: 0.926 0.387 0.068
S: 0.742 0.637 0.035
S: 0.258 0.363 0.965
S: 0.411 0.124 0.528
S: 0.074 0.113 0.568
S: 0.993 0.710 0.215
S: 0.242 0.863 0.035
S: 0.493 0.790 0.215
S: 0.242 0.363 0.465
S: 0.911 0.876 0.972
S: 0.742 0.137 0.465
S: 0.926 0.887 0.432
S: 0.007 0.290 0.785
S: 0.254 0.029 0.795
S: 0.754 0.471 0.795
S: 0.507 0.710 0.715
S: 0.074 0.613 0.932
S: 0.589 0.876 0.472
S: 0.574 0.387 0.568
Pb: 0.764 0.745 0.307
Pb: 0.010 0.983 0.207
Pb: 0.490 0.483 0.793
Pb: 0.010 0.483 0.293
Pb: 0.990 0.517 0.707
Pb: 0.264 0.755 0.307
Pb: 0.236 0.255 0.693
Pb: 0.490 0.983 0.707
Pb: 0.990 0.017 0.793
Pb: 0.510 0.017 0.293
Pb: 0.764 0.245 0.193
Pb: 0.236 0.755 0.807
Pb: 0.510 0.517 0.207
Pb: 0.736 0.745 0.807
Pb: 0.264 0.255 0.193
Pb: 0.736 0.245 0.693
Ga: 0.064 0.801 0.543
Ga: 0.936 0.699 0.043
Ga: 0.265 0.540 0.525
Ga: 0.235 0.540 0.025
Ga: 0.564 0.199 0.957
Ga: 0.564 0.699 0.543
Ga: 0.765 0.460 0.975
Ga: 0.735 0.460 0.475
Ga: 0.765 0.960 0.525
Ga: 0.436 0.801 0.043
Ga: 0.265 0.040 0.975
Ga: 0.436 0.301 0.457
Ga: 0.235 0.040 0.475
Ga: 0.936 0.199 0.457
Ga: 0.735 0.960 0.025
Ga: 0.064 0.301 0.957

Here is crystalline Ga2PbSe4 at its relaxed geometry from the Materials Project. Energies are from GGA-PBE.

Output
Formation energy from the elements (kJ/mol of atoms): -82.5
Space-group type: Cccm (66)
DFT total energy (eV per atom): -3.979

abc: 6.335 6.335 11.064
angles: 90.00 90.00 119.90
Fractional positions:
Se: 0.188 0.348 0.000
Se: 0.000 0.500 0.670
Se: 0.500 0.000 0.830
Se: 0.500 0.000 0.170
Se: 0.652 0.812 0.500
Se: 0.348 0.188 0.500
Se: 0.000 0.500 0.330
Se: 0.812 0.652 0.000
Ga: 0.763 0.240 0.500
Ga: 0.760 0.237 0.000
Ga: 0.240 0.763 0.000
Ga: 0.237 0.760 0.500
Pb: 0.500 0.500 0.750
Pb: 0.500 0.500 0.250

Here is crystalline Ga2PbSe4 at its relaxed geometry from the Materials Project. Energies are from GGA-PBE.

Output
Formation energy from the elements (kJ/mol of atoms): -83.3
Space-group type: Fddd (70)
DFT total energy (eV per atom): -3.987

abc: 15.412 12.744 12.583
angles: 74.96 52.99 52.05
Fractional positions:
Ga: 0.014 0.737 0.759
Ga: 0.988 0.264 0.154
Ga: 0.490 0.759 0.737
Ga: 0.759 0.490 0.014
Ga: 0.737 0.014 0.490
Ga: 0.655 0.096 0.986
Ga: 0.264 0.988 0.595
Ga: 0.986 0.262 0.655
Ga: 0.154 0.595 0.988
Ga: 0.096 0.655 0.262
Ga: 0.513 0.236 0.760
Ga: 0.262 0.986 0.096
Ga: 0.595 0.154 0.264
Ga: 0.491 0.760 0.236
Ga: 0.760 0.491 0.513
Ga: 0.236 0.513 0.491
Se: 0.969 0.282 0.968
Se: 0.282 0.470 0.281
Se: 0.041 0.539 0.212
Se: 0.968 0.780 0.969
Se: 0.780 0.475 0.307
Se: 0.211 0.708 0.541
Se: 0.708 0.211 0.540
Se: 0.812 0.943 0.775
Se: 0.710 0.709 0.542
Se: 0.307 0.438 0.780
Se: 0.039 0.542 0.709
Se: 0.943 0.812 0.470
Se: 0.281 0.968 0.282
Se: 0.042 0.038 0.711
Se: 0.539 0.041 0.208
Se: 0.711 0.209 0.042
Se: 0.540 0.541 0.708
Se: 0.208 0.212 0.539
Se: 0.475 0.780 0.438
Se: 0.438 0.307 0.475
Se: 0.780 0.968 0.282
Se: 0.470 0.775 0.943
Se: 0.709 0.710 0.039
Se: 0.038 0.042 0.209
Se: 0.209 0.711 0.038
Se: 0.541 0.540 0.211
Se: 0.212 0.208 0.041
Se: 0.542 0.039 0.710
Se: 0.775 0.470 0.812
Se: 0.282 0.969 0.780
Se: 0.968 0.281 0.470
Se: 0.470 0.282 0.968
Pb: 0.753 0.753 0.247
Pb: 0.500 0.500 0.500
Pb: 0.750 0.750 0.750
Pb: 0.000 0.000 0.000
Pb: 0.003 0.003 0.497
Pb: 0.247 0.247 0.753
Pb: 0.250 0.250 0.250
Pb: 0.497 0.497 0.003

- Among the records above, which one has the lowest formation energy from the elements?
  Ga2PbS4